No. 1
ErMgAg2: optimized geometry, meta-GGA r2SCAN.

Cell lengths 4.8765, 4.8765, 4.8765 Å; angles 60.00, 60.00, 60.00 degrees
With the nearest neighbours (Å) after each atom.
Fractional positions:
1 Er 0.5000 0.5000 0.5000  8 Ag 2.99
2 Ag 0.7500 0.7500 0.7500  4 Mg 2.99, 4 Er 2.99
3 Mg 0.0000 0.0000 0.0000  8 Ag 2.99
4 Ag 0.2500 0.2500 0.2500  4 Er 2.99, 4 Mg 2.99

Computed properties:
spin magnetization	0.000	μB per formula unit
energy of formation from the pure elements	-1.17	eV per formula unit

No. 2
YHoZn2: optimized geometry, meta-GGA r2SCAN.

Cell lengths 5.0195, 5.0195, 5.0195 Å; angles 60.00, 60.00, 60.00 degrees
With the nearest neighbours (Å) after each atom.
Fractional positions:
1 Zn 0.5000 0.5000 0.5000  4 Y 3.07, 4 Ho 3.07
2 Ho 0.2500 0.2500 0.2500  8 Zn 3.07
3 Zn 0.0000 0.0000 0.0000  4 Y 3.07, 4 Ho 3.07
4 Y 0.7500 0.7500 0.7500  8 Zn 3.07

Computed properties:
spin magnetization	0.025	μB per formula unit
energy of formation from the pure elements	-1.53	eV per formula unit